Entry 1:
This record from Materials Project describes a geometry-optimized SiO2 structure. The functional is r2SCAN. Values from VASP.

```
&SYSTEM
  ibrav = 0, nat = 9, ntyp = 2
/
ATOMIC_SPECIES
Si 28.09 Si.upf
O 16.00 O.upf
ATOMIC_POSITIONS angstrom
Si -1.1523 1.9959 0.9052
Si 2.3047 0.0000 4.5261
Si 1.3051 2.2606 2.7157
O -1.0873 3.1105 5.1682
O 0.3073 1.7596 1.5473
O 1.3702 1.1459 3.8840
O 0.7800 3.6428 3.3578
O 3.2374 0.6137 0.2631
O 2.7648 2.4969 2.0735
CELL_PARAMETERS angstrom
4.9150 0.0000 0.0000
-2.4575 4.2565 0.0000
0.0000 0.0000 5.4313
```

Values from the calculation:
* symmetry: No. 152
* calculated formation energy: -3038 meV/atom

---

Entry 2:
This record from Materials Project describes a geometry-optimized Na2Te2O5 structure. The functional is r2SCAN. Values from VASP.

```
&SYSTEM
  ibrav = 0, nat = 36, ntyp = 3
/
ATOMIC_SPECIES
Na 22.99 Na.upf
Te 127.60 Te.upf
O 16.00 O.upf
ATOMIC_POSITIONS angstrom
Na 0.3388 0.0841 3.8890
Na -0.7069 -0.0841 8.6198
Na 2.5163 0.0320 6.6873
Na 3.5620 -0.0320 1.9564
Na 17.7669 0.0320 7.5053
Na 18.8126 -0.0320 2.7745
Na 22.0358 0.0841 0.8419
Na 20.9901 -0.0841 5.5728
Te 6.1256 0.4244 5.1633
Te 7.1713 -0.4244 0.4324
Te 8.5889 0.0174 7.7887
Te 9.6346 -0.0174 3.0578
Te 11.6943 0.0174 6.4040
Te 12.7400 -0.0174 1.6731
Te 14.1576 0.4244 9.0294
Te 15.2033 -0.4244 4.2985
O 4.5971 1.2079 6.0067
O 2.4902 0.4787 4.3721
O 8.7161 1.8590 7.9971
O 11.5671 1.8590 6.1956
O 1.4445 -0.4787 9.1030
O 6.7191 0.0160 7.1161
O 7.7648 -0.0160 2.3852
O 10.3521 0.1475 1.3148
O 9.3064 -0.1475 6.0457
O 15.6861 1.2079 8.1859
O 5.6428 -1.2079 1.2758
O 12.0225 0.1475 3.4160
O 10.9768 -0.1475 8.1469
O 13.5641 0.0160 7.0766
O 14.6098 -0.0160 2.3457
O 19.8844 0.4787 0.3588
O 9.7618 -1.8590 3.2662
O 12.6128 -1.8590 1.4647
O 18.8387 -0.4787 5.0897
O 16.7318 -1.2079 3.4550
CELL_PARAMETERS angstrom
11.7101 -2.4367 0.0000
11.7101 2.4367 0.0000
-2.0914 0.0000 9.4618
```

Values from the calculation:
* symmetry: No. 15
* calculated formation energy: -1490 meV/atom

---

Entry 3:
This record from Materials Project describes a geometry-optimized Rb2Mo3SeO12 structure. The functional is r2SCAN. Values from VASP.

```
&SYSTEM
  ibrav = 0, nat = 36, ntyp = 4
/
ATOMIC_SPECIES
Rb 85.47 Rb.upf
Mo 95.94 Mo.upf
Se 78.96 Se.upf
O 16.00 O.upf
ATOMIC_POSITIONS angstrom
Rb 0.0000 4.2127 0.0000
Rb 0.0000 4.2127 4.6161
Rb 3.6483 2.1063 6.0153
Rb 3.6483 2.1063 10.6314
Mo -0.2576 2.1449 8.0138
Mo -1.6620 5.4696 8.0138
Mo 1.7287 1.2955 1.9985
Mo 1.9196 5.0235 8.0138
Mo 5.3102 0.8493 1.9985
Mo 3.9059 4.1741 1.9985
Se 0.0000 0.0000 5.2231
Se 0.0000 0.0000 11.2384
O -1.3635 3.4571 7.4507
O -2.3183 5.5125 5.9535
O -0.0270 1.5915 2.1519
O 0.0335 1.5550 5.9535
O -2.2565 5.5466 2.1519
O -0.0121 2.5574 9.6525
O -1.4274 5.0507 9.6525
O 1.3634 0.7485 11.9689
O 1.3648 0.8191 8.1672
O 2.2088 1.2892 3.6371
O 1.3361 3.4096 7.4507
O 0.0274 5.7713 7.4507
O 3.6209 0.5477 1.4353
O 2.3122 2.9094 1.4353
O 1.4395 5.0298 9.6525
O 2.2835 5.4999 2.1519
O 2.2849 5.5705 5.9535
O 5.0757 1.2683 3.6371
O 3.6603 3.7616 3.6371
O 5.9048 0.7724 8.1672
O 3.6148 4.7640 11.9689
O 3.6752 4.7275 8.1672
O 5.9666 0.8065 11.9689
O 5.0118 2.8619 1.4353
CELL_PARAMETERS angstrom
7.2965 0.0000 0.0000
-3.6483 6.3190 0.0000
0.0000 0.0000 12.0307
```

Values from the calculation:
* symmetry: No. 173
* calculated formation energy: -2009 meV/atom

---

Entry 4:
This record from Materials Project describes a geometry-optimized CeSmTl2 structure. The functional is r2SCAN. Values from VASP.

```
&SYSTEM
  ibrav = 0, nat = 16, ntyp = 3
/
ATOMIC_SPECIES
Ce 140.12 Ce.upf
Sm 150.36 Sm.upf
Tl 204.38 Tl.upf
ATOMIC_POSITIONS angstrom
Ce 0.0000 0.0000 0.0000
Ce 0.0000 3.8772 3.8772
Ce 3.8772 0.0000 3.8772
Ce 3.8772 3.8772 0.0000
Sm 0.0000 0.0000 3.8772
Sm 0.0000 3.8772 0.0000
Sm 3.8772 0.0000 0.0000
Sm 3.8772 3.8772 3.8772
Tl 1.9386 1.9386 1.9386
Tl 1.9386 1.9386 5.8157
Tl 1.9386 5.8157 1.9386
Tl 1.9386 5.8157 5.8157
Tl 5.8157 1.9386 1.9386
Tl 5.8157 1.9386 5.8157
Tl 5.8157 5.8157 1.9386
Tl 5.8157 5.8157 5.8157
CELL_PARAMETERS angstrom
7.7543 0.0000 0.0000
0.0000 7.7543 0.0000
0.0000 0.0000 7.7543
```

Values from the calculation:
* symmetry: No. 225
* calculated formation energy: -470 meV/atom

---

Entry 5:
This record from Materials Project describes a geometry-optimized U11Se20 structure. The functional is r2SCAN. Values from VASP.

```
&SYSTEM
  ibrav = 0, nat = 31, ntyp = 2
/
ATOMIC_SPECIES
U 238.03 U.upf
Se 78.96 Se.upf
ATOMIC_POSITIONS angstrom
U 0.0000 0.0000 0.0000
U 0.0076 5.2273 2.0908
U 2.6337 9.0759 3.8618
U 3.3580 10.7838 7.6655
U 3.3730 5.2849 5.5784
U 3.3704 1.9835 2.2194
U 3.3826 7.3705 0.1091
U 4.1192 3.6523 9.3103
U 6.0123 9.0627 3.8696
U 6.7594 7.3257 7.7203
U 6.7688 2.0708 5.6428
Se 0.8917 10.0363 6.1353
Se 0.8836 8.0876 1.6216
Se 0.8987 0.4730 2.8837
Se 0.9174 6.8158 4.8707
Se 1.6775 3.6545 3.8831
Se 1.6876 9.0714 9.3055
Se 2.5045 1.3970 10.2575
Se 2.5351 2.6995 7.0096
Se 2.5207 4.5976 0.7385
Se 2.5397 5.9353 8.3310
Se 4.2774 8.1081 6.1247
Se 4.2822 0.4745 4.8273
Se 4.2816 6.7991 2.9395
Se 4.2891 10.0017 1.6134
Se 5.0639 3.6575 3.8801
Se 5.0814 9.0821 9.2928
Se 5.7926 4.6357 7.0460
Se 5.8020 1.4037 8.3388
Se 5.7996 2.6420 0.7183
Se 5.8322 5.9103 10.2746
CELL_PARAMETERS angstrom
6.7677 0.0000 0.0000
0.0034 10.8362 0.0000
0.0237 0.0171 10.8455
```

Values from the calculation:
* symmetry: No. 1
* calculated formation energy: -1612 meV/atom

---

Entry 6:
This record from Materials Project describes a geometry-optimized NaMnO2 structure. The functional is r2SCAN. Values from VASP.

```
&SYSTEM
  ibrav = 0, nat = 8, ntyp = 3
/
ATOMIC_SPECIES
Na 22.99 Na.upf
Mn 54.94 Mn.upf
O 16.00 O.upf
ATOMIC_POSITIONS angstrom
Na 0.7154 1.1972 0.7770
Na 2.1462 3.5916 5.5070
Mn 0.7154 1.1972 3.9295
Mn 2.1462 3.5916 2.3544
O 0.7154 3.5916 1.0715
O 0.7154 3.5916 3.6618
O 2.1462 1.1972 2.6221
O 2.1462 1.1972 5.2124
CELL_PARAMETERS angstrom
2.8616 0.0000 0.0000
0.0000 4.7888 0.0000
0.0000 0.0000 6.2839
```

Values from the calculation:
* symmetry: No. 59
* calculated formation energy: -2103 meV/atom
* energy relative to the lowest polymorph listed for this composition: 4 meV/atom

---

Entry 7:
This record from Materials Project describes a geometry-optimized Y2Ge6Pt structure. The functional is r2SCAN. Values from VASP.

```
&SYSTEM
  ibrav = 0, nat = 9, ntyp = 3
/
ATOMIC_SPECIES
Y 88.91 Y.upf
Ge 72.64 Ge.upf
Pt 195.08 Pt.upf
ATOMIC_POSITIONS angstrom
Y 0.0000 0.0000 0.0000
Y 0.0000 0.0000 7.3618
Ge 0.0000 0.0000 13.6074
Ge 0.0000 0.0000 16.0739
Ge 2.0505 0.0000 2.6955
Ge 2.0505 0.0000 5.1673
Ge 2.0505 0.0000 9.7797
Ge 2.0505 0.0000 19.1981
Pt 2.0505 0.0000 12.1934
CELL_PARAMETERS angstrom
4.1010 0.0000 0.0000
0.0000 2.0174 10.9428
0.0000 -2.0174 10.9428
```

Values from the calculation:
* symmetry: No. 38
* calculated formation energy: -573 meV/atom

---

Entry 8:
This record from Materials Project describes a geometry-optimized Li4MoO5 structure. The functional is r2SCAN. Values from VASP.

```
&SYSTEM
  ibrav = 0, nat = 20, ntyp = 3
/
ATOMIC_SPECIES
Li 6.94 Li.upf
Mo 95.94 Mo.upf
O 16.00 O.upf
ATOMIC_POSITIONS angstrom
Li 0.0000 0.0000 0.0000
Li -0.9246 -1.0000 4.8905
Li -0.0435 0.8385 2.7038
Li 0.6674 2.7056 0.6658
Li 1.7179 -1.3877 3.4757
Li 1.7745 -0.5043 6.2856
Li 2.4853 1.3628 4.2476
Li 3.3664 3.2013 2.0609
Mo -0.0287 1.6778 5.4317
Mo 2.4706 0.5234 1.5196
O -1.5809 0.6839 5.8724
O -0.8788 2.4493 3.9816
O 0.9842 -0.6339 1.7249
O 0.1395 -1.7679 6.6667
O 0.7819 0.2870 4.5983
O 1.6600 1.9143 2.3531
O 2.3024 3.9692 0.2847
O 1.4577 2.8352 5.2265
O 3.3207 -0.2480 2.9698
O 4.0228 1.5174 1.0790
CELL_PARAMETERS angstrom
5.0318 0.0000 0.0000
-0.9939 4.9767 0.0000
-1.5961 -2.7754 6.9514
```

Values from the calculation:
* symmetry: No. 2
* calculated formation energy: -2333 meV/atom
* energy relative to the lowest polymorph listed for this composition: 0 meV/atom

---

For each record above, in turn, the calculated density values are 2.63; 4.69; 4.37; 9.96; 8.76; 4.24; 7.42; 3.89 g cm⁻³.
For each record above, in turn, the calculated magnetization values are 0.00; 0.00; 0.00; 0.62; 6.52; 4.00; 0.00; 0.00 μB/f.u..
For each record above, in turn, the calculated energy values are -9.94; -11.25; -12.68; -42.20; -39.21; -9.65; -20.06; -8.88 eV per atom.